# CdMo6S8

Crystalline CdMo6S8 at its relaxed geometry (PBE-GGA, the Materials Project).

a b c (Å): 9.4875 9.4875 10.8699
angles (deg): 90.00 90.00 120.00
Space group R-3 (No. 148, hexagonal axes)
One atom of each set of equivalent atoms:
Cd1 0.0000 0.0000 0.0000 [3 per cell]
Mo1 0.0151 0.1743 0.3943 [18 per cell]
S1 0.0000 0.0000 0.2262 [6 per cell]
S2 0.0196 0.3857 0.2537 [18 per cell]

## Properties
- DFT total energy (eV per cell) = -326.9
- formation enthalpy at 0 K (eV/atom) = -0.9265

=====

# MnSb2H8S4N4

Crystalline MnSb2H8S4N4 at its relaxed geometry (PBE-GGA, the Materials Project).

a b c (Å): 19.425 4.549 12.504
angles (deg): 90.00 95.20 90.00
Space group C2/c (No. 15)
One atom of each set of equivalent atoms:
Mn1 0.000 0.000 0.000 [4 per cell]
Sb1 0.197 0.127 0.146 [8 per cell]
H1 0.010 0.425 0.157 [8 per cell]
H2 0.067 0.269 0.334 [8 per cell]
H3 0.095 0.276 0.873 [8 per cell]
H4 0.104 0.442 0.991 [8 per cell]
S1 0.092 0.155 0.650 [8 per cell]
S2 0.208 0.238 0.340 [8 per cell]
N1 0.035 0.363 0.386 [8 per cell]
N2 0.068 0.372 0.931 [8 per cell]

## Properties
- DFT total energy (eV per cell) = -392.0
- formation enthalpy at 0 K (eV/atom) = -0.3685

=====

# Na2SiO8

Crystalline Na2SiO8 at its relaxed geometry (PBE-GGA, the Materials Project).

a b c (Å): 5.042 7.119 9.125
angles (deg): 78.06 89.18 75.48
Space group P-1 (No. 2)
One atom of each set of equivalent atoms:
Na1 0.103 0.328 0.409 [2 per cell]
Na2 0.248 0.914 0.901 [2 per cell]
Si1 0.320 0.767 0.283 [2 per cell]
O1 0.158 0.636 0.389 [2 per cell]
O2 0.221 0.953 0.150 [2 per cell]
O3 0.222 0.569 0.071 [2 per cell]
O4 0.317 0.389 0.122 [2 per cell]
O5 0.324 0.041 0.643 [2 per cell]
O6 0.361 0.589 0.758 [2 per cell]
O7 0.410 0.393 0.806 [2 per cell]
O8 0.474 0.171 0.587 [2 per cell]

## Properties
- DFT total energy (eV per cell) = -117.3
- formation enthalpy at 0 K (eV/atom) = -1.1171

=====

# KI

Crystalline KI at its relaxed geometry (PBE-GGA, the Materials Project).

a b c (Å): 7.185 7.185 7.185
angles (deg): 90.00 90.00 90.00
Space group Fm-3m (No. 225)
One atom of each set of equivalent atoms:
K1 0.000 0.000 0.000 [4 per cell]
I1 0.000 0.000 0.500 [4 per cell]

## Properties
- DFT total energy (eV per cell) = -22.5
- formation enthalpy at 0 K (eV/atom) = -1.6805

=====

# YAlN2

Crystalline YAlN2 at its relaxed geometry (PBE-GGA, the Materials Project).

a b c (Å): 5.779 6.894 5.734
angles (deg): 90.00 109.06 90.00
Space group P2_1/c (No. 14)
One atom of each set of equivalent atoms:
Y1 0.132 0.097 0.298 [4 per cell]
Al1 0.383 0.649 0.394 [4 per cell]
N1 0.235 0.672 0.049 [4 per cell]
N2 0.275 0.105 0.968 [4 per cell]

## Properties
- DFT total energy (eV per cell) = -129.1
- formation enthalpy at 0 K (eV/atom) = -1.5303

=====

# Nd2ZrSe5

Crystalline Nd2ZrSe5 at its relaxed geometry (PBE-GGA, the Materials Project).

a b c (Å): 12.182 8.397 7.756
angles (deg): 90.00 90.00 90.00
Space group Pnma (No. 62)
One atom of each set of equivalent atoms:
Nd1 0.176 0.003 0.040 [8 per cell]
Zr1 0.009 0.750 0.578 [4 per cell]
Se1 0.004 0.750 0.947 [4 per cell]
Se2 0.084 0.038 0.670 [8 per cell]
Se3 0.186 0.750 0.344 [4 per cell]
Se4 0.208 0.250 0.325 [4 per cell]

## Properties
- DFT total energy (eV per cell) = -196.3
- formation enthalpy at 0 K (eV/atom) = -1.9833